Density functional theory data (PBE+U) for a relaxed VFeP2O8F2 crystal.

Cell lengths 7.052, 7.636, 7.382 Å; angles 91.72, 117.44, 88.14 degrees
Element x y z (fractional)
1 V 0.500 0.500 0.000
2 V 0.000 0.000 0.000
3 Fe 0.000 0.500 0.500
4 Fe 0.500 0.000 0.500
5 P 0.266 0.849 0.752
6 P 0.766 0.349 0.752
7 P 0.733 0.151 0.248
8 P 0.234 0.651 0.248
9 O 0.194 0.940 0.904
10 O 0.694 0.440 0.904
11 O 0.806 0.060 0.096
12 O 0.306 0.560 0.096
13 O 0.582 0.243 0.594
14 O 0.082 0.743 0.594
15 O 0.418 0.757 0.406
16 O 0.918 0.257 0.406
17 O 0.346 0.991 0.665
18 O 0.846 0.491 0.666
19 O 0.654 0.009 0.334
20 O 0.154 0.509 0.335
21 O 0.542 0.279 0.117
22 O 0.042 0.779 0.118
23 O 0.458 0.721 0.882
24 O 0.958 0.221 0.883
25 F 0.225 0.085 0.246
26 F 0.725 0.585 0.246
27 F 0.775 0.915 0.754
28 F 0.275 0.415 0.754

E (MP2020): -7.618 eV/atom
DFT formation energy: -2.489 eV/atom
ρ: 3.15 Mg/m³
Polymorph energy (0 for the lowest one): 0.00 eV/f.u.
Magnetization: 0.0 μB/cell
E_tot: -0.5054 Ry per atom